(1)
Entry from the Materials Project database: a relaxed structure of P2W (GGA-PBE).

Symmetry: C2/m, No. 12
Energy relative to the elements (meV/atom): -363
Relative energy among the computed polymorphs (meV/atom): 15.4

Unit cell a=4.550 b=4.550 c=7.541 alpha=117.33 beta=117.33 gamma=40.95
Positions (direct):
P  0.101  0.101  0.399
P  0.362  0.362  0.976
P  0.638  0.638  0.024
P  0.899  0.899  0.601
W  0.342  0.342  0.293
W  0.658  0.658  0.707

(2)
Entry from the Materials Project database: a relaxed structure of Na14Y4Sc4Si7S5O48 (GGA-PBE).

Total magnetic moment (μB/atom): 0.0000
Symmetry: P1, No. 1
Energy relative to the elements (meV/atom): -2850

Unit cell a=9.312 b=16.146 c=23.108 alpha=89.95 beta=89.95 gamma=89.91
Positions (direct):
Na  0.000  0.000  0.000
Na  0.001  0.378  0.984
Na  0.013  0.046  0.325
Na  0.022  0.699  0.665
Na  0.120  0.202  0.162
Na  0.127  0.536  0.826
Na  0.144  0.498  0.504
Na  0.146  0.878  0.494
Na  0.148  0.846  0.149
Na  0.170  0.186  0.489
Na  0.181  0.849  0.822
Na  0.196  0.517  0.146
Na  0.305  0.687  0.737
Na  0.313  0.031  0.413
Na  0.326  0.365  0.069
Na  0.332  0.367  0.578
Na  0.339  0.023  0.913
Na  0.340  0.689  0.234
Na  0.453  0.510  0.651
Na  0.462  0.849  0.319
Na  0.474  0.191  0.982
Na  0.495  0.846  0.653
Na  0.499  0.497  0.997
Na  0.515  0.547  0.325
Na  0.520  0.205  0.666
Na  0.623  0.701  0.161
Na  0.632  0.050  0.827
Na  0.644  0.002  0.502
Na  0.650  0.346  0.150
Na  0.670  0.687  0.488
Na  0.692  0.016  0.146
Na  0.699  0.349  0.819
Na  0.806  0.520  0.415
Na  0.815  0.199  0.742
Na  0.815  0.866  0.071
Na  0.821  0.866  0.576
Na  0.839  0.522  0.905
Na  0.840  0.190  0.235
Na  0.948  0.019  0.649
Na  0.963  0.348  0.322
Na  0.974  0.685  0.985
Na  0.999  0.347  0.661
Y  0.311  0.688  0.892
Y  0.315  0.023  0.255
Y  0.323  0.351  0.429
Y  0.329  0.009  0.057
Y  0.329  0.026  0.756
Y  0.331  0.691  0.391
Y  0.816  0.508  0.558
Y  0.816  0.525  0.255
Y  0.819  0.195  0.889
Y  0.820  0.852  0.929
Y  0.833  0.189  0.392
Y  0.835  0.518  0.758
Sc  0.311  0.353  0.220
Sc  0.320  0.351  0.726
Sc  0.320  0.352  0.923
Sc  0.320  0.687  0.088
Sc  0.323  0.010  0.559
Sc  0.327  0.687  0.590
Sc  0.813  0.851  0.428
Sc  0.813  0.852  0.222
Sc  0.818  0.188  0.089
Sc  0.822  0.509  0.058
Sc  0.824  0.188  0.590
Sc  0.834  0.853  0.720
Si  0.013  0.022  0.158
Si  0.033  0.353  0.824
Si  0.133  0.523  0.656
Si  0.170  0.537  0.993
Si  0.172  0.836  0.991
Si  0.173  0.870  0.658
Si  0.176  0.205  0.323
Si  0.463  0.207  0.825
Si  0.471  0.839  0.492
Si  0.472  0.541  0.491
Si  0.474  0.866  0.163
Si  0.518  0.521  0.157
Si  0.626  0.021  0.656
Si  0.665  0.365  0.661
Si  0.669  0.338  0.994
Si  0.675  0.042  0.991
Si  0.680  0.707  0.325
Si  0.969  0.706  0.823
Si  0.971  0.370  0.159
Si  0.972  0.337  0.491
Si  0.975  0.036  0.491
S  0.027  0.690  0.491
S  0.109  0.854  0.324
S  0.119  0.190  0.993
S  0.173  0.169  0.653
S  0.176  0.501  0.322
S  0.467  0.499  0.824
S  0.474  0.173  0.157
S  0.527  0.184  0.494
S  0.529  0.854  0.820
S  0.616  0.354  0.320
S  0.618  0.685  0.995
S  0.672  0.672  0.657
S  0.677  0.998  0.325
S  0.969  0.999  0.822
S  0.972  0.671  0.155
O  0.014  0.178  0.648
O  0.018  0.506  0.318
O  0.019  0.862  0.377
O  0.021  0.849  0.271
O  0.027  0.200  0.046
O  0.029  0.175  0.942
O  0.030  0.544  0.712
O  0.031  0.509  0.599
O  0.113  0.040  0.215
O  0.115  0.005  0.102
O  0.117  0.678  0.440
O  0.118  0.702  0.544
O  0.126  0.004  0.818
O  0.131  0.351  0.765
O  0.131  0.680  0.150
O  0.134  0.363  0.882
O  0.149  0.360  0.163
O  0.149  0.701  0.821
O  0.150  0.339  0.491
O  0.152  0.031  0.499
O  0.196  0.117  0.705
O  0.196  0.592  0.935
O  0.200  0.931  0.602
O  0.203  0.930  0.323
O  0.204  0.780  0.326
O  0.206  0.266  0.988
O  0.208  0.452  0.375
O  0.216  0.117  0.999
O  0.216  0.779  0.048
O  0.218  0.263  0.267
O  0.227  0.933  0.992
O  0.231  0.438  0.663
O  0.232  0.249  0.382
O  0.236  0.796  0.932
O  0.238  0.129  0.602
O  0.238  0.605  0.650
O  0.239  0.109  0.322
O  0.239  0.252  0.660
O  0.240  0.459  0.271
O  0.242  0.585  0.325
O  0.243  0.444  0.989
O  0.243  0.911  0.716
O  0.245  0.584  0.049
O  0.246  0.778  0.649
O  0.393  0.451  0.489
O  0.395  0.802  0.434
O  0.397  0.776  0.152
O  0.399  0.111  0.826
O  0.399  0.583  0.828
O  0.401  0.590  0.546
O  0.403  0.905  0.222
O  0.404  0.933  0.498
O  0.405  0.137  0.105
O  0.406  0.459  0.772
O  0.409  0.255  0.884
O  0.410  0.257  0.166
O  0.412  0.602  0.150
O  0.422  0.436  0.164
O  0.426  0.261  0.767
O  0.433  0.110  0.499
O  0.434  0.258  0.490
O  0.434  0.929  0.819
O  0.435  0.450  0.877
O  0.438  0.592  0.431
O  0.438  0.779  0.824
O  0.441  0.778  0.547
O  0.448  0.119  0.208
O  0.457  0.934  0.111
O  0.491  0.352  0.665
O  0.493  0.346  0.988
O  0.499  0.044  0.995
O  0.500  0.702  0.323
O  0.514  0.682  0.652
O  0.516  0.006  0.601
O  0.519  0.002  0.321
O  0.525  0.365  0.373
O  0.526  0.349  0.268
O  0.527  0.695  0.047
O  0.528  0.674  0.942
O  0.530  0.040  0.714
O  0.612  0.542  0.216
O  0.616  0.173  0.441
O  0.618  0.193  0.546
O  0.619  0.849  0.768
O  0.619  0.865  0.872
O  0.625  0.506  0.820
O  0.629  0.508  0.103
O  0.631  0.181  0.152
O  0.641  0.198  0.824
O  0.648  0.543  0.494
O  0.649  0.847  0.486
O  0.651  0.853  0.166
O  0.682  0.432  0.608
O  0.699  0.618  0.707
O  0.703  0.279  0.050
O  0.707  0.279  0.324
O  0.710  0.759  0.990
O  0.711  0.429  0.319
O  0.712  0.092  0.931
O  0.712  0.610  0.000
O  0.713  0.948  0.377
O  0.722  0.763  0.268
O  0.722  0.935  0.663
O  0.732  0.101  0.648
O  0.735  0.757  0.665
O  0.735  0.758  0.383
O  0.739  0.432  0.000
O  0.739  0.638  0.604
O  0.739  0.958  0.272
O  0.741  0.405  0.718
O  0.742  0.081  0.328
O  0.742  0.612  0.325
O  0.744  0.089  0.048
O  0.746  0.275  0.650
O  0.749  0.301  0.937
O  0.752  0.951  0.991
O  0.895  0.081  0.546
O  0.899  0.278  0.151
O  0.901  0.082  0.825
O  0.902  0.410  0.217
O  0.904  0.613  0.821
O  0.905  0.633  0.104
O  0.906  0.942  0.484
O  0.906  0.958  0.770
O  0.908  0.104  0.152
O  0.909  0.755  0.163
O  0.910  0.298  0.430
O  0.915  0.751  0.882
O  0.916  0.936  0.167
O  0.917  0.434  0.491
O  0.926  0.272  0.823
O  0.928  0.766  0.767
O  0.929  0.277  0.546
O  0.929  0.437  0.825
O  0.929  0.619  0.497
O  0.938  0.950  0.875
O  0.939  0.768  0.486
O  0.944  0.432  0.104
O  0.948  0.618  0.207
O  0.949  0.090  0.432
O  0.993  0.533  0.000
O  0.994  0.838  0.992
O  0.995  0.861  0.662
O  0.996  0.199  0.321

(3)
Entry from the Materials Project database: a relaxed structure of Cs2Se5 (GGA-PBE).

Maximum piezoelectric response (C/m2): 0.294
Symmetry: P2_12_12_1, No. 19
Energy relative to the elements (meV/atom): -945

Unit cell a=7.324 b=7.674 c=19.492 alpha=90.00 beta=90.00 gamma=90.00
Positions (direct):
Cs  0.080  0.250  0.162
Cs  0.122  0.417  0.513
Cs  0.378  0.583  0.013
Cs  0.420  0.750  0.662
Cs  0.580  0.250  0.838
Cs  0.622  0.083  0.487
Cs  0.878  0.917  0.987
Cs  0.920  0.750  0.338
Se  0.045  0.621  0.802
Se  0.052  0.754  0.157
Se  0.066  0.371  0.876
Se  0.098  0.919  0.522
Se  0.246  0.839  0.849
Se  0.254  0.161  0.349
Se  0.402  0.081  0.022
Se  0.434  0.629  0.376
Se  0.448  0.246  0.657
Se  0.455  0.379  0.302
Se  0.545  0.879  0.198
Se  0.552  0.746  0.843
Se  0.566  0.129  0.124
Se  0.598  0.581  0.478
Se  0.746  0.661  0.151
Se  0.754  0.339  0.651
Se  0.902  0.419  0.978
Se  0.934  0.871  0.624
Se  0.948  0.254  0.343
Se  0.955  0.121  0.698